This record from Materials Project describes a relaxed structure of Hg4SbHO6. The functional is GGA-PBE.

```
Hg4SbHO6
1.0
-0.711 -4.015 -2.872
-0.251 -2.654 4.221
-7.519 4.446 -0.281
O Hg H Sb
6 4 1 1
Direct
0.053 0.460 0.545 O
0.471 0.957 0.547 O
0.675 0.594 0.754 O
0.494 0.404 0.347 O
0.033 0.003 0.758 O
0.837 0.840 0.355 O
0.684 0.496 0.145 Hg
0.335 0.301 0.741 Hg
0.970 0.908 0.988 Hg
0.177 0.105 0.340 Hg
0.547 0.257 0.962 H
0.756 0.703 0.559 Sb
```

Summary:
SG: No. 1
E, eV per atom: -3.51